# 1
! MgMn2O4, relaxed, DFT GGA+U; values from VASP
! * energy above the most stable polymorph in this dataset: 136 meV per atom
! * magnetization: 32.0 μB per cell
! * V: 11.4 Å³ per atom
&SYSTEM
  ibrav = 0, nat = 28, ntyp = 3
/
ATOMIC_SPECIES
Mg 24.30 Mg.upf
Mn 54.94 Mn.upf
O 16.00 O.upf
ATOMIC_POSITIONS angstrom
Mg -1.4294 0.0582 2.5717
Mg -4.2883 5.0924 7.7150
Mg 1.5840 1.8095 2.5717
Mg -1.2749 3.3411 7.7150
Mn 0.0000 2.5753 0.0000
Mn -2.8589 2.5753 5.1433
Mn -1.3487 0.0598 5.3034
Mn 1.5102 5.0908 0.1600
Mn 3.0134 2.5753 0.0000
Mn 0.1545 2.5753 5.1433
Mn -1.2011 0.0598 10.1266
Mn 1.6578 5.0908 4.9833
O 0.1330 0.9368 1.2207
O -2.7258 4.2138 6.3640
O -4.2264 1.3676 9.2242
O -1.3675 3.7830 4.0809
O -1.3722 1.8444 6.1883
O 1.4867 3.3062 1.0449
O 0.0265 0.9828 3.9894
O -2.8324 4.1678 9.1328
O 3.1414 0.9828 1.1539
O 0.2826 4.1678 6.2972
O -1.1776 1.8444 9.2417
O 1.6812 3.3062 4.0984
O 1.6766 1.3676 6.2058
O 4.5354 3.7830 1.0624
O 3.0349 0.9368 3.9226
O 0.1760 4.2138 9.0659
CELL_PARAMETERS angstrom
6.0268 0.0000 0.0000
0.0000 5.1506 0.0000
-5.7177 0.0000 10.2867

=====

# 2
! Mo4P7O24, relaxed, DFT GGA+U; values from VASP
! * magnetization: 22.0 μB per cell
! * V: 14.1 Å³ per atom
&SYSTEM
  ibrav = 0, nat = 70, ntyp = 3
/
ATOMIC_SPECIES
Mo 95.94 Mo.upf
P 30.97 P.upf
O 16.00 O.upf
ATOMIC_POSITIONS angstrom
Mo -1.3234 -0.1413 2.3807
Mo -5.2627 2.5997 8.0924
Mo 1.2631 6.5273 3.7697
Mo 3.9453 3.5521 0.6799
Mo -0.1229 1.9778 8.4553
Mo 2.5593 -0.9973 5.3655
Mo 9.0851 2.9302 1.0427
Mo 5.1458 5.6713 6.7545
P 1.5203 1.2082 1.0797
P -0.9945 8.7401 2.2238
P 1.0248 5.2639 0.4313
P -0.9438 3.9566 4.3980
P -2.3457 4.3370 7.0037
P 0.0128 -2.9397 6.7487
P -0.0812 1.2203 5.1868
P 3.9035 4.3097 3.9483
P 3.8096 8.4697 2.3864
P 6.1681 1.1930 2.1315
P 4.7662 1.5734 4.7372
P 2.7976 0.2661 8.7038
P 4.8169 -3.2101 6.9114
P 2.3021 4.3218 8.0555
O -1.5315 3.5827 3.0781
O 0.0642 1.4165 1.6377
O -3.9358 7.0026 6.0984
O -2.4053 8.7810 2.7796
O 0.2543 3.9497 0.3743
O -3.8463 4.1851 7.2973
O -1.2214 0.6955 4.3436
O -2.6015 -3.8998 8.7638
O -3.5278 1.4659 8.4336
O -0.8169 7.9871 0.9399
O -2.1801 3.9495 5.4642
O 2.1295 0.0141 1.9672
O 1.0315 5.8879 1.8073
O 0.0556 2.8316 4.9331
O -0.2896 5.2928 4.5363
O -0.4506 1.1049 6.6984
O -1.9414 5.8524 7.2078
O 0.9923 -2.3180 5.8081
O 2.4059 2.4020 1.4330
O 2.6276 5.0131 0.0829
O -0.1311 -2.1545 8.0639
O -1.4486 3.4981 7.8611
O -0.0404 8.2694 3.3632
O 1.2887 0.6543 4.9042
O 2.5337 4.8757 4.2310
O 3.8627 -2.7394 5.7719
O 5.2710 2.0319 1.2741
O 3.9535 7.6845 1.0712
O 1.1948 0.5169 9.0523
O 1.4165 3.1280 7.7022
O 2.8301 7.8480 3.3271
O 5.7637 -0.3224 1.9274
O 4.2730 4.4251 2.4368
O 4.1119 0.2372 4.5988
O 3.7668 2.6984 4.2021
O 2.7909 -0.3579 7.3278
O 1.6929 5.5159 7.1679
O 6.0025 1.5805 3.6710
O 4.6393 -2.4572 8.1953
O 7.3502 4.0640 0.7015
O 6.4239 9.4298 0.3714
O 5.0438 4.8345 4.7915
O 7.6687 1.3449 1.8378
O 3.5681 1.5803 8.7608
O 6.2277 -3.2510 6.3556
O 7.7582 -1.4726 3.0367
O 3.7582 4.1134 7.4975
O 5.3539 1.9472 6.0571
CELL_PARAMETERS angstrom
10.5609 0.0000 0.0000
-2.6203 10.2554 0.0000
-4.1182 -4.7254 9.1352

=====

# 3
! Li2V3O6, relaxed, DFT GGA+U; values from VASP
! * energy above the most stable polymorph in this dataset: 7 meV per atom
! * magnetization: 0.0 μB per cell
! * V: 10.4 Å³ per atom
&SYSTEM
  ibrav = 0, nat = 22, ntyp = 3
/
ATOMIC_SPECIES
Li 6.94 Li.upf
V 50.94 V.upf
O 16.00 O.upf
ATOMIC_POSITIONS angstrom
Li 7.4282 2.3078 -1.7629
Li 2.4135 1.0424 -1.4983
Li 4.6884 2.0822 -3.0967
Li 7.6666 1.4887 1.0219
V 3.7603 2.9560 1.8771
V 3.9191 -1.4519 -0.8567
V 6.5533 -1.2483 0.4030
V 6.2484 -0.4304 -2.4040
V 3.4675 3.7904 -0.9624
V 6.1011 3.9959 0.2994
O 5.8044 -2.0507 -1.2942
O 5.3527 3.1934 -1.3995
O 4.1414 4.5651 0.6623
O 4.5945 -0.6785 0.7664
O 2.7725 2.9473 -2.5177
O 5.7498 2.3555 1.6013
O 2.9737 2.1550 0.1756
O 7.9867 3.4204 -0.0905
O 7.0844 0.4167 -0.7424
O 2.0702 -0.8483 -0.4752
O 7.2733 -0.4471 2.0914
O 4.2969 0.1465 -2.0270
CELL_PARAMETERS angstrom
2.0363 1.8596 -4.3842
2.5265 4.6486 4.0133
5.4654 -3.9765 -0.1605

=====

Number 1: E_form -15.44 eV per formula unit. Number 2: E_form -86.54 eV per formula unit. Number 3: E_form -27.10 eV per formula unit.